[1]
The following is a DFT calculation (GGA+U) of a relaxed structure of Ba2CoWO6.

Summary:
The energy relative to the elements is -2.568 eV per atom. As for the space-group type: I4/mmm, No. 139. Its total energy is -6.91 eV per atom.

Geometry as CIF:
```
data_Ba2CoWO6
_chemical_formula_sum 'Ba2 Co1 W1 O6'
_space_group_name_H-M_alt 'P 1'
_space_group_IT_number 1
_cell_length_a 5.862
_cell_length_b 5.862
_cell_length_c 5.862
_cell_angle_alpha 121.19
_cell_angle_beta 121.19
_cell_angle_gamma 87.95
loop_
_space_group_symop_operation_xyz
'x,y,z'
loop_
_atom_site_label
_atom_site_type_symbol
_atom_site_fract_x
_atom_site_fract_y
_atom_site_fract_z
Ba1 Ba 0.250 0.750 0.500
Ba2 Ba 0.750 0.250 0.500
Co1 Co 0.000 0.000 0.000
W1 W 0.500 0.500 0.000
O1 O 0.259 0.259 0.517
O2 O 0.259 0.741 0.000
O3 O 0.268 0.268 0.000
O4 O 0.732 0.732 0.000
O5 O 0.741 0.259 0.000
O6 O 0.741 0.741 0.483
```



[2]
The following is a DFT calculation (GGA+U) of a relaxed structure of Co3BPO7.

Summary:
The energy relative to the elements is -1.946 eV per atom. As for the space-group type: P1, No. 1. The energy above the most stable polymorph in this dataset comes out at 1.550 eV/f.u. Its total energy is -6.81 eV per atom.

Geometry as CIF:
```
data_Co3BPO7
_chemical_formula_sum 'Co6 B2 P2 O14'
_space_group_name_H-M_alt 'P 1'
_space_group_IT_number 1
_cell_length_a 4.939
_cell_length_b 8.076
_cell_length_c 8.083
_cell_angle_alpha 64.40
_cell_angle_beta 72.53
_cell_angle_gamma 72.33
loop_
_space_group_symop_operation_xyz
'x,y,z'
loop_
_atom_site_label
_atom_site_type_symbol
_atom_site_fract_x
_atom_site_fract_y
_atom_site_fract_z
Co1 Co 0.000 0.000 0.000
Co2 Co 0.076 0.558 0.214
Co3 Co 0.364 0.271 0.928
Co4 Co 0.500 0.494 0.503
Co5 Co 0.646 0.038 0.669
Co6 Co 0.869 0.820 0.446
B1 B 0.042 0.289 0.630
B2 B 0.475 0.852 0.196
P1 P 0.251 0.741 0.750
P2 P 0.692 0.280 0.209
O1 O 0.062 0.882 0.603
O2 O 0.091 0.747 0.944
O3 O 0.134 0.443 0.485
O4 O 0.203 0.817 0.220
O5 O 0.227 0.158 0.750
O6 O 0.295 0.543 0.745
O7 O 0.411 0.360 0.126
O8 O 0.553 0.792 0.697
O9 O 0.574 0.998 0.040
O10 O 0.650 0.734 0.327
O11 O 0.661 0.098 0.385
O12 O 0.747 0.428 0.261
O13 O 0.760 0.265 0.664
O14 O 0.948 0.232 0.058
```



[3]
The following is a DFT calculation (GGA+U) of a relaxed structure of K2VOF4.

Summary:
The energy relative to the elements is -3.017 eV per atom. As for the space-group type: Pna2_1, No. 33. Its total energy is -5.48 eV per atom.

Geometry as CIF:
```
data_K2VOF4
_chemical_formula_sum 'K8 V4 O4 F16'
_space_group_name_H-M_alt 'P 1'
_space_group_IT_number 1
_cell_length_a 7.555
_cell_length_b 11.683
_cell_length_c 5.761
_cell_angle_alpha 90.00
_cell_angle_beta 90.00
_cell_angle_gamma 90.00
loop_
_space_group_symop_operation_xyz
'x,y,z'
loop_
_atom_site_label
_atom_site_type_symbol
_atom_site_fract_x
_atom_site_fract_y
_atom_site_fract_z
K1 K 0.012 0.225 0.000
K2 K 0.168 0.411 0.500
K3 K 0.332 0.911 0.000
K4 K 0.488 0.725 0.500
K5 K 0.512 0.275 0.000
K6 K 0.668 0.089 0.500
K7 K 0.832 0.589 0.000
K8 K 0.988 0.775 0.500
V1 V 0.182 0.065 0.479
V2 V 0.318 0.565 0.979
V3 V 0.682 0.435 0.479
V4 V 0.818 0.935 0.979
O1 O 0.187 0.613 0.769
O2 O 0.313 0.113 0.269
O3 O 0.687 0.887 0.769
O4 O 0.813 0.387 0.269
F1 F 0.006 0.000 0.774
F2 F 0.028 0.196 0.518
F3 F 0.180 0.611 0.246
F4 F 0.225 0.409 0.013
F5 F 0.275 0.909 0.513
F6 F 0.320 0.111 0.746
F7 F 0.472 0.696 0.018
F8 F 0.494 0.500 0.274
F9 F 0.506 0.500 0.774
F10 F 0.528 0.304 0.518
F11 F 0.680 0.889 0.246
F12 F 0.725 0.091 0.013
F13 F 0.775 0.591 0.513
F14 F 0.820 0.389 0.746
F15 F 0.972 0.804 0.018
F16 F 0.994 0.000 0.274
```



[4]
The following is a DFT calculation (GGA+U) of a relaxed structure of CoF3.

Summary:
The energy relative to the elements is -1.907 eV per atom. As for the space-group type: P321, No. 150. Its total energy is -4.36 eV per atom.

Geometry as CIF:
```
data_CoF3
_chemical_formula_sum 'Co3 F9'
_space_group_name_H-M_alt 'P 1'
_space_group_IT_number 1
_cell_length_a 5.116
_cell_length_b 5.116
_cell_length_c 6.789
_cell_angle_alpha 90.00
_cell_angle_beta 90.00
_cell_angle_gamma 120.00
loop_
_space_group_symop_operation_xyz
'x,y,z'
loop_
_atom_site_label
_atom_site_type_symbol
_atom_site_fract_x
_atom_site_fract_y
_atom_site_fract_z
Co1 Co 0.000 0.000 0.000
Co2 Co 0.333 0.667 0.338
Co3 Co 0.667 0.333 0.662
F1 F 0.000 0.615 0.500
F2 F 0.063 0.328 0.177
F3 F 0.264 0.937 0.177
F4 F 0.328 0.063 0.823
F5 F 0.385 0.385 0.500
F6 F 0.615 0.000 0.500
F7 F 0.672 0.736 0.177
F8 F 0.736 0.672 0.823
F9 F 0.937 0.264 0.823
```



[5]
The following is a DFT calculation (GGA+U) of a relaxed structure of Rb2WSO4.

Summary:
The energy relative to the elements is -1.469 eV per atom. As for the space-group type: R-3m, No. 166. Its total energy is -5.36 eV per atom.

Geometry as CIF:
```
data_Rb2WSO4
_chemical_formula_sum 'Rb4 W2 S2 O8'
_space_group_name_H-M_alt 'P 1'
_space_group_IT_number 1
_cell_length_a 12.361
_cell_length_b 12.361
_cell_length_c 12.361
_cell_angle_alpha 29.29
_cell_angle_beta 29.29
_cell_angle_gamma 29.29
loop_
_space_group_symop_operation_xyz
'x,y,z'
loop_
_atom_site_label
_atom_site_type_symbol
_atom_site_fract_x
_atom_site_fract_y
_atom_site_fract_z
Rb1 Rb 0.147 0.147 0.147
Rb2 Rb 0.273 0.273 0.273
Rb3 Rb 0.727 0.727 0.727
Rb4 Rb 0.853 0.853 0.853
W1 W 0.439 0.439 0.439
W2 W 0.561 0.561 0.561
S1 S 0.374 0.374 0.374
S2 S 0.626 0.626 0.626
O1 O 0.060 0.060 0.060
O2 O 0.142 0.613 0.613
O3 O 0.387 0.387 0.858
O4 O 0.387 0.858 0.387
O5 O 0.613 0.142 0.613
O6 O 0.613 0.613 0.142
O7 O 0.858 0.387 0.387
O8 O 0.940 0.940 0.940
```



[6]
The following is a DFT calculation (GGA+U) of a relaxed structure of LiCoSnO4.

Summary:
The energy relative to the elements is -1.807 eV per atom. As for the space-group type: P4_322, No. 95. The energy above the most stable polymorph in this dataset comes out at 0.278 eV/f.u. Its total energy is -5.87 eV per atom.

Geometry as CIF:
```
data_LiCoSnO4
_chemical_formula_sum 'Li4 Co4 Sn4 O16'
_space_group_name_H-M_alt 'P 1'
_space_group_IT_number 1
_cell_length_a 6.088
_cell_length_b 6.088
_cell_length_c 8.600
_cell_angle_alpha 90.00
_cell_angle_beta 90.00
_cell_angle_gamma 90.00
loop_
_space_group_symop_operation_xyz
'x,y,z'
loop_
_atom_site_label
_atom_site_type_symbol
_atom_site_fract_x
_atom_site_fract_y
_atom_site_fract_z
Li1 Li 0.000 0.216 0.000
Li2 Li 0.000 0.784 0.500
Li3 Li 0.216 0.000 0.250
Li4 Li 0.784 0.000 0.750
Co1 Co 0.245 0.245 0.625
Co2 Co 0.245 0.755 0.875
Co3 Co 0.755 0.245 0.375
Co4 Co 0.755 0.755 0.125
Sn1 Sn 0.231 0.500 0.250
Sn2 Sn 0.500 0.231 0.000
Sn3 Sn 0.500 0.769 0.500
Sn4 Sn 0.769 0.500 0.750
O1 O 0.004 0.256 0.749
O2 O 0.004 0.744 0.751
O3 O 0.256 0.004 0.501
O4 O 0.256 0.996 0.999
O5 O 0.257 0.483 0.007
O6 O 0.257 0.517 0.493
O7 O 0.483 0.257 0.243
O8 O 0.483 0.743 0.257
O9 O 0.517 0.257 0.757
O10 O 0.517 0.743 0.743
O11 O 0.743 0.483 0.993
O12 O 0.743 0.517 0.507
O13 O 0.744 0.004 0.499
O14 O 0.744 0.996 0.001
O15 O 0.996 0.256 0.251
O16 O 0.996 0.744 0.249
```